# Rb4SnSe4O4

A geometry-optimized Rb4SnSe4O4 structure (PBE-GGA, the Materials Project).

a = 8.676 Å, b = 9.028 Å, c = 11.411 Å
α = 113.26°, β = 75.70°, γ = 106.91°
Fractional positions:
1 Rb 0.484 0.811 0.262
2 Rb 0.516 0.189 0.738
3 Rb 0.102 0.861 0.531
4 Rb 0.898 0.139 0.469
5 Rb 0.819 0.614 0.002
6 Rb 0.181 0.386 0.998
7 Rb 0.800 0.039 0.859
8 Rb 0.200 0.961 0.141
9 Sn 0.644 0.329 0.256
10 Sn 0.356 0.671 0.744
11 Se 0.799 0.637 0.341
12 Se 0.201 0.363 0.659
13 Se 0.893 0.179 0.188
14 Se 0.107 0.821 0.812
15 Se 0.453 0.249 0.459
16 Se 0.547 0.751 0.541
17 Se 0.505 0.291 0.074
18 Se 0.495 0.709 0.926
19 O 0.995 0.611 0.196
20 O 0.005 0.389 0.804
21 O 0.691 0.931 0.612
22 O 0.309 0.069 0.388
23 O 0.822 0.977 0.200
24 O 0.178 0.023 0.800
25 O 0.142 0.709 0.248
26 O 0.858 0.291 0.752

Calculated values
The total moment is 0.00 μB/f.u. The total energy is -4.023 eV per atom.



# Rb2USe2O12

A geometry-optimized Rb2USe2O12 structure (PBE-GGA, the Materials Project).

a = 7.720 Å, b = 11.871 Å, c = 13.977 Å
α = 90.00°, β = 90.00°, γ = 90.00°
Fractional positions:
1 Rb 0.260 0.381 0.974
2 Rb 0.760 0.619 0.026
3 Rb 0.760 0.881 0.526
4 Rb 0.260 0.119 0.474
5 Rb 0.794 0.352 0.553
6 Rb 0.294 0.648 0.447
7 Rb 0.294 0.852 0.947
8 Rb 0.794 0.148 0.053
9 U 0.099 0.597 0.750
10 U 0.599 0.403 0.250
11 U 0.599 0.097 0.750
12 U 0.099 0.903 0.250
13 Se 0.763 0.387 0.833
14 Se 0.263 0.613 0.167
15 Se 0.263 0.887 0.667
16 Se 0.763 0.113 0.333
17 Se 0.269 0.309 0.689
18 Se 0.769 0.691 0.311
19 Se 0.769 0.809 0.811
20 Se 0.269 0.191 0.189
21 O 0.095 0.608 0.880
22 O 0.595 0.392 0.120
23 O 0.595 0.108 0.620
24 O 0.095 0.892 0.380
25 O 0.104 0.584 0.620
26 O 0.604 0.416 0.380
27 O 0.604 0.084 0.880
28 O 0.104 0.916 0.120
29 O 0.094 0.252 0.639
30 O 0.594 0.748 0.361
31 O 0.594 0.752 0.861
32 O 0.094 0.248 0.139
33 O 0.582 0.442 0.875
34 O 0.082 0.558 0.125
35 O 0.082 0.942 0.625
36 O 0.582 0.058 0.375
37 O 0.721 0.275 0.759
38 O 0.221 0.725 0.241
39 O 0.221 0.775 0.741
40 O 0.721 0.225 0.259
41 O 0.856 0.478 0.755
42 O 0.356 0.522 0.245
43 O 0.356 0.978 0.745
44 O 0.856 0.022 0.255
45 O 0.214 0.418 0.763
46 O 0.714 0.582 0.237
47 O 0.714 0.918 0.737
48 O 0.214 0.082 0.263
49 O 0.422 0.596 0.757
50 O 0.922 0.404 0.243
51 O 0.922 0.096 0.743
52 O 0.422 0.904 0.257
53 O 0.360 0.218 0.768
54 O 0.860 0.782 0.232
55 O 0.860 0.718 0.732
56 O 0.360 0.282 0.268
57 O 0.895 0.349 0.919
58 O 0.395 0.651 0.081
59 O 0.395 0.849 0.581
60 O 0.895 0.151 0.419
61 O 0.406 0.351 0.605
62 O 0.906 0.649 0.395
63 O 0.906 0.851 0.895
64 O 0.406 0.149 0.105
65 O 0.642 0.589 0.564
66 O 0.142 0.411 0.436
67 O 0.142 0.089 0.936
68 O 0.642 0.911 0.064

Calculated values
The total moment is 4.00 μB/f.u. The total energy is -5.829 eV per atom.



# RbUSe2O8

A geometry-optimized RbUSe2O8 structure (PBE-GGA, the Materials Project).

a = 10.406 Å, b = 9.067 Å, c = 13.161 Å
α = 49.54°, β = 90.00°, γ = 90.00°
Fractional positions:
1 Rb 0.560 0.274 0.442
2 Rb 0.940 0.274 0.942
3 Rb 0.440 0.726 0.558
4 Rb 0.060 0.726 0.058
5 U 0.796 0.811 0.314
6 U 0.704 0.811 0.814
7 U 0.204 0.189 0.686
8 U 0.296 0.189 0.186
9 Se 0.966 0.202 0.303
10 Se 0.534 0.202 0.803
11 Se 0.034 0.798 0.697
12 Se 0.466 0.798 0.197
13 Se 0.126 0.713 0.402
14 Se 0.374 0.713 0.902
15 Se 0.874 0.287 0.598
16 Se 0.626 0.287 0.098
17 O 0.871 0.381 0.264
18 O 0.629 0.381 0.764
19 O 0.129 0.619 0.736
20 O 0.371 0.619 0.236
21 O 0.904 0.108 0.236
22 O 0.596 0.108 0.736
23 O 0.096 0.892 0.764
24 O 0.404 0.892 0.264
25 O 0.973 0.708 0.456
26 O 0.527 0.708 0.956
27 O 0.027 0.292 0.544
28 O 0.473 0.292 0.044
29 O 0.190 0.912 0.376
30 O 0.310 0.912 0.876
31 O 0.810 0.088 0.624
32 O 0.690 0.088 0.124
33 O 0.793 0.472 0.455
34 O 0.707 0.472 0.955
35 O 0.207 0.528 0.545
36 O 0.293 0.528 0.045
37 O 0.609 0.692 0.276
38 O 0.891 0.692 0.776
39 O 0.391 0.308 0.724
40 O 0.109 0.308 0.224
41 O 0.900 0.827 0.195
42 O 0.600 0.827 0.695
43 O 0.100 0.173 0.805
44 O 0.400 0.173 0.305
45 O 0.698 0.818 0.425
46 O 0.802 0.818 0.925
47 O 0.302 0.182 0.575
48 O 0.198 0.182 0.075

Calculated values
The total moment is 1.00 μB/f.u. The total energy is -6.561 eV per atom.



# RbYSe2O6

A geometry-optimized RbYSe2O6 structure (PBE-GGA, the Materials Project).

a = 5.862 Å, b = 8.950 Å, c = 14.028 Å
α = 90.00°, β = 90.00°, γ = 90.00°
Fractional positions:
1 Rb 0.250 0.992 0.627
2 Rb 0.250 0.508 0.127
3 Rb 0.750 0.008 0.373
4 Rb 0.750 0.492 0.873
5 Y 0.250 0.811 0.899
6 Y 0.250 0.689 0.399
7 Y 0.750 0.189 0.101
8 Y 0.750 0.311 0.601
9 Se 0.750 0.018 0.797
10 Se 0.750 0.482 0.297
11 Se 0.250 0.982 0.203
12 Se 0.250 0.518 0.703
13 Se 0.750 0.715 0.562
14 Se 0.750 0.785 0.062
15 Se 0.250 0.285 0.438
16 Se 0.250 0.215 0.938
17 O 0.979 0.897 0.795
18 O 0.521 0.603 0.295
19 O 0.479 0.103 0.205
20 O 0.021 0.397 0.705
21 O 0.021 0.103 0.205
22 O 0.479 0.397 0.705
23 O 0.521 0.897 0.795
24 O 0.979 0.603 0.295
25 O 0.750 0.085 0.681
26 O 0.750 0.415 0.181
27 O 0.250 0.915 0.319
28 O 0.250 0.585 0.819
29 O 0.980 0.788 0.500
30 O 0.520 0.712 0.000
31 O 0.480 0.212 0.500
32 O 0.020 0.288 0.000
33 O 0.020 0.212 0.500
34 O 0.480 0.288 0.000
35 O 0.520 0.788 0.500
36 O 0.980 0.712 0.000
37 O 0.750 0.532 0.526
38 O 0.750 0.968 0.026
39 O 0.250 0.468 0.474
40 O 0.250 0.032 0.974

Calculated values
The total moment is 0.00 μB/f.u. The total energy is -6.216 eV per atom.



# Rb4SiO4

A geometry-optimized Rb4SiO4 structure (PBE-GGA, the Materials Project).

a = 6.788 Å, b = 10.926 Å, c = 11.006 Å
α = 67.61°, β = 90.00°, γ = 90.00°
Fractional positions:
1 Rb 0.592 0.301 0.065
2 Rb 0.114 0.418 0.155
3 Rb 0.908 0.801 0.065
4 Rb 0.333 0.110 0.369
5 Rb 0.818 0.206 0.423
6 Rb 0.386 0.918 0.155
7 Rb 0.167 0.610 0.369
8 Rb 0.318 0.294 0.577
9 Rb 0.682 0.706 0.423
10 Rb 0.833 0.390 0.631
11 Rb 0.614 0.082 0.845
12 Rb 0.182 0.794 0.577
13 Rb 0.667 0.890 0.631
14 Rb 0.092 0.199 0.935
15 Rb 0.886 0.582 0.845
16 Rb 0.408 0.699 0.935
17 Si 0.870 0.011 0.241
18 Si 0.630 0.511 0.241
19 Si 0.370 0.489 0.759
20 Si 0.130 0.989 0.759
21 O 0.770 0.027 0.098
22 O 0.997 0.149 0.220
23 O 0.730 0.527 0.098
24 O 0.482 0.378 0.299
25 O 0.503 0.649 0.220
26 O 0.813 0.491 0.351
27 O 0.018 0.878 0.299
28 O 0.313 0.009 0.649
29 O 0.687 0.991 0.351
30 O 0.982 0.122 0.701
31 O 0.187 0.509 0.649
32 O 0.497 0.351 0.780
33 O 0.518 0.622 0.701
34 O 0.270 0.473 0.902
35 O 0.003 0.851 0.780
36 O 0.230 0.973 0.902

Calculated values
The total energy is -5.180 eV per atom.



# Rb4SiO4

A geometry-optimized Rb4SiO4 structure (PBE-GGA, the Materials Project).

a = 6.830 Å, b = 6.918 Å, c = 9.461 Å
α = 81.89°, β = 73.47°, γ = 62.45°
Fractional positions:
1 Rb 0.244 0.725 0.963
2 Rb 0.498 0.732 0.559
3 Rb 0.635 0.788 0.137
4 Rb 0.064 0.762 0.368
5 Rb 0.936 0.238 0.632
6 Rb 0.365 0.212 0.863
7 Rb 0.502 0.268 0.441
8 Rb 0.756 0.275 0.037
9 Si 0.859 0.764 0.748
10 Si 0.141 0.236 0.252
11 O 0.852 0.922 0.871
12 O 0.730 0.934 0.622
13 O 0.710 0.626 0.832
14 O 0.871 0.407 0.332
15 O 0.129 0.593 0.668
16 O 0.290 0.374 0.168
17 O 0.270 0.066 0.378
18 O 0.148 0.078 0.129

Calculated values
The total energy is -5.180 eV per atom.



# Rb2Si2O5

A geometry-optimized Rb2Si2O5 structure (PBE-GGA, the Materials Project).

a = 6.739 Å, b = 6.739 Å, c = 14.898 Å
α = 89.73°, β = 89.73°, γ = 78.71°
Fractional positions:
1 Rb 0.060 0.279 0.414
2 Rb 0.721 0.940 0.086
3 Rb 0.940 0.721 0.586
4 Rb 0.279 0.060 0.914
5 Rb 0.291 0.551 0.097
6 Rb 0.449 0.709 0.403
7 Rb 0.709 0.449 0.903
8 Rb 0.551 0.291 0.597
9 Si 0.808 0.439 0.186
10 Si 0.799 0.939 0.807
11 Si 0.061 0.201 0.693
12 Si 0.201 0.061 0.193
13 Si 0.939 0.799 0.307
14 Si 0.439 0.808 0.686
15 Si 0.192 0.561 0.814
16 Si 0.561 0.192 0.314
17 O 0.989 0.743 0.810
18 O 0.499 0.729 0.587
19 O 0.271 0.501 0.913
20 O 0.501 0.271 0.413
21 O 0.729 0.499 0.087
22 O 0.712 0.013 0.903
23 O 0.987 0.288 0.597
24 O 0.288 0.987 0.097
25 O 0.121 0.879 0.250
26 O 0.879 0.121 0.750
27 O 0.871 0.632 0.239
28 O 0.368 0.129 0.261
29 O 0.129 0.368 0.761
30 O 0.632 0.871 0.739
31 O 0.633 0.367 0.250
32 O 0.367 0.633 0.750
33 O 0.011 0.257 0.190
34 O 0.743 0.989 0.310
35 O 0.257 0.011 0.690
36 O 0.013 0.712 0.403

Calculated values
The total energy is -6.680 eV per atom.



# Rb6Si2O7

A geometry-optimized Rb6Si2O7 structure (PBE-GGA, the Materials Project).

a = 9.318 Å, b = 6.858 Å, c = 11.518 Å
α = 54.57°, β = 90.00°, γ = 90.00°
Fractional positions:
1 Rb 0.353 0.523 0.591
2 Rb 0.147 0.523 0.091
3 Rb 0.647 0.477 0.409
4 Rb 0.973 0.708 0.544
5 Rb 0.473 0.292 0.956
6 Rb 0.027 0.292 0.456
7 Rb 0.527 0.708 0.044
8 Rb 0.279 0.892 0.725
9 Rb 0.779 0.108 0.775
10 Rb 0.721 0.108 0.275
11 Rb 0.221 0.892 0.225
12 Rb 0.853 0.477 0.909
13 Si 0.632 0.833 0.622
14 Si 0.868 0.833 0.122
15 Si 0.368 0.167 0.378
16 Si 0.132 0.167 0.878
17 O 0.277 0.996 0.936
18 O 0.000 0.000 0.000
19 O 0.500 0.000 0.500
20 O 0.921 0.766 0.277
21 O 0.777 0.004 0.564
22 O 0.723 0.004 0.064
23 O 0.223 0.996 0.436
24 O 0.656 0.592 0.624
25 O 0.156 0.408 0.876
26 O 0.344 0.408 0.376
27 O 0.844 0.592 0.124
28 O 0.579 0.766 0.777
29 O 0.079 0.234 0.723
30 O 0.421 0.234 0.223

Calculated values
The total energy is -5.531 eV per atom.